No. 1
# Dy3Y | the Materials Project database | GGA-PBE | optimized geometry
# Calculated formation energy in kcal/mol of atoms: 0.6
# V in Å³ per atom: 31.97
# Energy above the lowest structure with this stoichiometry in meV/atom: 12
# Symmetry: Pm-3m
data_Dy3Y
_symmetry_space_group_name_H-M 'P 1'
_symmetry_Int_Tables_number 1
_cell_length_a 5.038
_cell_length_b 5.038
_cell_length_c 5.038
_cell_angle_alpha 90.00
_cell_angle_beta 90.00
_cell_angle_gamma 90.00
loop_
_symmetry_equiv_pos_as_xyz
'x,y,z'
loop_
_atom_site_label
_atom_site_type_symbol
_atom_site_fract_x
_atom_site_fract_y
_atom_site_fract_z
_atom_site_occupancy
Dy1 Dy 0.000 0.500 0.500 1
Dy2 Dy 0.500 0.500 0.000 1
Dy3 Dy 0.500 0.000 0.500 1
Y1 Y 0.000 0.000 0.000 1



No. 2
# KGa3 | the Materials Project database | GGA-PBE | optimized geometry
# Calculated formation energy in kcal/mol of atoms: -4.1
# V in Å³ per atom: 25.22
# Maximum piezoelectric response in C/m²: 0.15
# Symmetry: I-4m2
data_KGa3
_symmetry_space_group_name_H-M 'P 1'
_symmetry_Int_Tables_number 1
_cell_length_a 8.730
_cell_length_b 8.730
_cell_length_c 8.730
_cell_angle_alpha 137.29
_cell_angle_beta 137.29
_cell_angle_gamma 62.00
loop_
_symmetry_equiv_pos_as_xyz
'x,y,z'
loop_
_atom_site_label
_atom_site_type_symbol
_atom_site_fract_x
_atom_site_fract_y
_atom_site_fract_z
_atom_site_occupancy
Ga1 Ga 0.016 0.222 0.794 1
Ga2 Ga 0.608 0.302 0.695 1
Ga3 Ga 0.778 0.572 0.794 1
Ga4 Ga 0.500 0.500 0.000 1
K1 K 0.373 0.873 0.500 1
Ga5 Ga 0.608 0.913 0.305 1
Ga6 Ga 0.428 0.222 0.206 1
K2 K 0.127 0.627 0.500 1
Ga7 Ga 0.778 0.984 0.206 1
Ga8 Ga 0.698 0.392 0.305 1
Ga9 Ga 0.087 0.392 0.695 1
K3 K 0.000 0.000 0.000 1



No. 3
# Ba3Ga2B10H4O23 | the Materials Project database | GGA-PBE | optimized geometry
# Calculated formation energy in kcal/mol of atoms: -62.4
# V in Å³ per atom: 12.48
# Magnetic moment in μB per atom: 0.000
# Symmetry: Fdd2
data_Ba3Ga2B10H4O23
_symmetry_space_group_name_H-M 'P 1'
_symmetry_Int_Tables_number 1
_cell_length_a 24.025
_cell_length_b 23.512
_cell_length_c 7.162
_cell_angle_alpha 85.41
_cell_angle_beta 77.30
_cell_angle_gamma 17.29
loop_
_symmetry_equiv_pos_as_xyz
'x,y,z'
loop_
_atom_site_label
_atom_site_type_symbol
_atom_site_fract_x
_atom_site_fract_y
_atom_site_fract_z
_atom_site_occupancy
O1 O 0.357 0.748 0.637 1
O2 O 0.599 0.225 0.804 1
O3 O 0.292 0.708 0.292 1
B1 B 0.429 0.906 0.980 1
B2 B 0.079 0.118 0.907 1
O4 O 0.750 0.051 0.290 1
O5 O 0.542 0.958 0.542 1
B3 B 0.907 0.896 0.079 1
B4 B 0.183 0.259 0.562 1
H1 H 0.139 0.457 0.441 1
O6 O 0.637 0.259 0.357 1
O7 O 0.180 0.317 0.612 1
Ga1 Ga 0.880 0.455 0.766 1
O8 O 0.290 0.909 0.750 1
O9 O 0.933 0.070 0.360 1
O10 O 0.825 0.265 0.288 1
Ga2 Ga 0.350 0.484 0.795 1
B5 B 0.565 0.270 0.344 1
B6 B 0.044 0.281 0.068 1
O11 O 0.256 0.078 0.918 1
O12 O 0.025 0.651 0.878 1
O13 O 0.612 0.890 0.180 1
O14 O 0.546 0.644 0.379 1
O15 O 0.918 0.749 0.256 1
O16 O 0.564 0.141 0.080 1
B7 B 0.344 0.821 0.565 1
O17 O 0.199 0.500 0.341 1
O18 O 0.373 0.048 0.442 1
O19 O 0.290 0.393 0.983 1
H2 H 0.287 0.809 0.793 1
O20 O 0.820 0.871 0.606 1
Ba1 Ba 0.509 0.491 0.509 1
O21 O 0.202 0.877 0.113 1
O22 O 0.288 0.622 0.825 1
B8 B 0.562 0.996 0.183 1
H3 H 0.359 0.201 0.852 1
B9 B 0.068 0.607 0.044 1
B10 B 0.969 0.206 0.643 1
Ba2 Ba 0.461 0.726 0.038 1
H4 H 0.662 0.398 0.049 1
O23 O 0.338 0.235 0.734 1
O24 O 0.360 0.638 0.933 1
B11 B 0.354 0.343 0.132 1
Ba3 Ba 0.524 0.789 0.475 1
Ba4 Ba 0.759 0.741 0.759 1
Ba5 Ba 0.038 0.775 0.461 1
B12 B 0.356 0.680 0.093 1
O25 O 0.442 0.137 0.373 1
O26 O 0.113 0.808 0.202 1
Ba6 Ba 0.475 0.212 0.524 1
O27 O 0.991 0.613 0.502 1
O28 O 0.172 0.994 0.501 1
O29 O 0.983 0.334 0.290 1
H5 H 0.049 0.891 0.662 1
O30 O 0.036 0.170 0.109 1
O31 O 0.916 0.267 0.857 1
B13 B 0.643 0.182 0.969 1
O32 O 0.606 0.704 0.820 1
O33 O 0.878 0.446 0.025 1
O34 O 0.379 0.430 0.546 1
O35 O 0.015 0.912 0.557 1
Ga3 Ga 0.795 0.370 0.350 1
H6 H 0.441 0.963 0.139 1
O36 O 0.109 0.686 0.036 1
H7 H 0.852 0.588 0.359 1
O37 O 0.857 0.960 0.916 1
O38 O 0.080 0.214 0.564 1
B14 B 0.980 0.685 0.429 1
O39 O 0.501 0.332 0.172 1
O40 O 0.734 0.693 0.338 1
O41 O 0.628 0.962 0.985 1
O42 O 0.985 0.425 0.628 1
O43 O 0.557 0.516 0.015 1
B15 B 0.093 0.871 0.356 1
B16 B 0.570 0.894 0.379 1
B17 B 0.254 0.688 0.991 1
O44 O 0.341 0.960 0.199 1
B18 B 0.132 0.171 0.354 1
H8 H 0.793 0.111 0.287 1
B19 B 0.991 0.067 0.254 1
Ga4 Ga 0.766 0.900 0.880 1
B20 B 0.379 0.157 0.570 1
O45 O 0.804 0.372 0.599 1
O46 O 0.502 0.893 0.991 1



No. 4
# Na15Ca10Ta2P9S9O72 | the Materials Project database | GGA-PBE | optimized geometry
# Calculated formation energy in kcal/mol of atoms: -61.9
# V in Å³ per atom: 14.91
# Magnetic moment in μB per atom: 0.000
# Symmetry: P1
data_Na15Ca10Ta2P9S9O72
_symmetry_space_group_name_H-M 'P 1'
_symmetry_Int_Tables_number 1
_cell_length_a 9.297
_cell_length_b 9.289
_cell_length_c 23.294
_cell_angle_alpha 90.05
_cell_angle_beta 89.80
_cell_angle_gamma 119.85
loop_
_symmetry_equiv_pos_as_xyz
'x,y,z'
loop_
_atom_site_label
_atom_site_type_symbol
_atom_site_fract_x
_atom_site_fract_y
_atom_site_fract_z
_atom_site_occupancy
O1 O 0.196 0.254 0.699 1
O2 O 0.026 0.204 0.909 1
O3 O 0.511 0.837 0.766 1
O4 O 0.221 0.215 0.807 1
Ca1 Ca 0.674 0.318 0.977 1
Ta1 Ta 0.333 0.676 0.815 1
O5 O 0.888 0.338 0.639 1
O6 O 0.026 0.820 0.409 1
O7 O 0.047 0.253 0.201 1
O8 O 0.139 0.473 0.583 1
Na1 Na 0.660 0.326 0.325 1
O9 O 0.980 0.763 0.811 1
O10 O 0.794 0.805 0.910 1
O11 O 0.352 0.870 0.580 1
O12 O 0.738 0.952 0.691 1
O13 O 0.791 0.966 0.409 1
Ta2 Ta 0.345 0.669 0.315 1
O14 O 0.653 0.114 0.134 1
O15 O 0.981 0.173 0.586 1
O16 O 0.202 0.027 0.587 1
Na2 Na 0.975 0.674 0.909 1
O17 O 0.515 0.659 0.868 1
O18 O 0.752 0.792 0.197 1
Na3 Na 0.322 0.286 0.909 1
O19 O 0.874 0.350 0.248 1
S1 S 0.623 0.665 0.916 1
O20 O 0.621 0.120 0.411 1
O21 O 0.482 0.348 0.748 1
O22 O 0.320 0.824 0.266 1
P1 P 0.308 0.990 0.254 1
P2 P 0.623 0.956 0.417 1
O23 O 0.474 0.127 0.631 1
Ca2 Ca 0.665 0.330 0.188 1
O24 O 0.555 0.681 0.971 1
P3 P 0.004 0.691 0.756 1
O25 O 0.868 0.317 0.535 1
Na4 Na 0.987 0.337 0.751 1
O26 O 0.814 0.002 0.087 1
O27 O 0.790 0.780 0.307 1
O28 O 0.667 0.147 0.746 1
O29 O 0.626 0.505 0.914 1
Ca3 Ca 0.663 0.340 0.687 1
O30 O 0.507 0.674 0.264 1
P4 P 0.331 0.961 0.917 1
O31 O 0.146 0.458 0.967 1
O32 O 0.203 0.179 0.087 1
Ca4 Ca 0.673 0.332 0.478 1
O33 O 0.680 0.561 0.526 1
Na5 Na 0.995 0.027 0.995 1
O34 O 0.500 0.839 0.366 1
O35 O 0.876 0.561 0.028 1
O36 O 0.883 0.383 0.910 1
O37 O 0.209 0.957 0.198 1
O38 O 0.191 0.193 0.411 1
Na6 Na 0.000 0.013 0.495 1
S2 S 0.967 0.328 0.586 1
S3 S 0.668 0.638 0.580 1
O39 O 0.446 0.315 0.027 1
O40 O 0.875 0.536 0.132 1
S4 S 0.370 0.331 0.081 1
S5 S 0.367 0.037 0.582 1
O41 O 0.658 0.515 0.250 1
O42 O 0.483 0.136 0.910 1
O43 O 0.138 0.658 0.363 1
P5 P 0.334 0.373 0.417 1
S6 S 0.042 0.669 0.413 1
Na7 Na 0.335 0.680 0.670 1
Ca5 Ca 0.997 0.989 0.662 1
Na8 Na 0.302 0.969 0.087 1
O44 O 0.169 0.491 0.262 1
Ca6 Ca 0.325 0.662 0.515 1
P6 P 0.046 0.378 0.913 1
O45 O 0.337 0.846 0.866 1
O46 O 0.132 0.684 0.466 1
Na9 Na 0.653 0.310 0.826 1
O47 O 0.319 0.445 0.474 1
O48 O 0.174 0.681 0.763 1
O49 O 0.358 0.485 0.081 1
P7 P 0.688 0.994 0.749 1
O50 O 0.444 0.129 0.527 1
S7 S 0.668 0.028 0.084 1
Na10 Na 0.318 0.656 0.170 1
S8 S 0.965 0.638 0.082 1
O51 O 0.990 0.218 0.304 1
O52 O 0.874 0.521 0.413 1
O53 O 0.512 0.651 0.581 1
Ca7 Ca 0.000 0.008 0.345 1
O54 O 0.810 0.021 0.797 1
O55 O 0.475 0.345 0.131 1
Na11 Na 0.669 0.698 0.091 1
O56 O 0.138 0.667 0.082 1
O57 O 0.681 0.120 0.031 1
Na12 Na 0.302 0.334 0.585 1
Na13 Na 0.698 0.670 0.409 1
O58 O 0.333 0.491 0.366 1
P8 P 0.306 0.319 0.754 1
O59 O 0.170 0.971 0.911 1
O60 O 0.870 0.508 0.749 1
O61 O 0.486 0.133 0.250 1
O62 O 0.220 0.010 0.306 1
Ca8 Ca 0.326 0.664 0.016 1
O63 O 0.504 0.378 0.411 1
O64 O 0.156 0.493 0.861 1
O65 O 0.655 0.534 0.630 1
Ca9 Ca 0.002 0.001 0.162 1
O66 O 0.812 0.810 0.584 1
O67 O 0.977 0.806 0.086 1
Ca10 Ca 0.996 0.998 0.845 1
O68 O 0.514 0.859 0.083 1
P9 P 0.690 0.692 0.253 1
O69 O 0.546 0.866 0.473 1
S9 S 0.014 0.321 0.253 1
O70 O 0.323 0.499 0.764 1
O71 O 0.322 0.875 0.974 1
Na14 Na 0.667 0.968 0.589 1
O72 O 0.037 0.798 0.703 1
Na15 Na 0.334 0.045 0.406 1



No. 5
# K3SnC7O16 | the Materials Project database | GGA-PBE | optimized geometry
# Calculated formation energy in kcal/mol of atoms: -33.9
# V in Å³ per atom: 15.00
# Magnetic moment in μB per atom: 0.079
# Symmetry: P2_1/c
data_K3SnC7O16
_symmetry_space_group_name_H-M 'P 1'
_symmetry_Int_Tables_number 1
_cell_length_a 12.944
_cell_length_b 9.004
_cell_length_c 15.564
_cell_angle_alpha 63.24
_cell_angle_beta 90.00
_cell_angle_gamma 90.00
loop_
_symmetry_equiv_pos_as_xyz
'x,y,z'
loop_
_atom_site_label
_atom_site_type_symbol
_atom_site_fract_x
_atom_site_fract_y
_atom_site_fract_z
_atom_site_occupancy
C1 C 0.282 0.168 0.248 1
C2 C 0.558 0.514 0.095 1
K1 K 0.293 0.255 0.522 1
O1 O 0.948 0.378 0.676 1
O2 O 0.006 0.708 0.900 1
O3 O 0.630 0.771 0.181 1
O4 O 0.762 0.225 0.093 1
O5 O 0.879 0.797 0.267 1
O6 O 0.911 0.405 0.834 1
K2 K 0.960 0.039 0.689 1
C3 C 0.095 0.498 0.124 1
O7 O 0.870 0.771 0.681 1
O8 O 0.736 0.932 0.273 1
O9 O 0.236 0.068 0.227 1
O10 O 0.587 0.451 0.657 1
O11 O 0.994 0.292 0.100 1
K3 K 0.460 0.961 0.811 1
Sn1 Sn 0.440 0.381 0.280 1
K4 K 0.207 0.255 0.022 1
O12 O 0.325 0.475 0.588 1
C4 C 0.218 0.168 0.748 1
Sn2 Sn 0.560 0.619 0.720 1
C5 C 0.058 0.486 0.405 1
O13 O 0.262 0.775 0.407 1
O14 O 0.909 0.394 0.346 1
C6 C 0.527 0.352 0.918 1
O15 O 0.433 0.175 0.419 1
O16 O 0.567 0.825 0.581 1
C7 C 0.473 0.648 0.082 1
C8 C 0.905 0.502 0.876 1
C9 C 0.504 0.061 0.445 1
O17 O 0.409 0.606 0.154 1
O18 O 0.225 0.375 0.806 1
O19 O 0.506 0.292 0.600 1
O20 O 0.121 0.203 0.733 1
C10 C 0.782 0.832 0.252 1
C11 C 0.595 0.502 0.376 1
O21 O 0.825 0.525 0.912 1
O22 O 0.878 0.540 0.531 1
C12 C 0.942 0.514 0.595 1
O23 O 0.071 0.953 0.107 1
C13 C 0.222 0.263 0.295 1
C14 C 0.027 0.648 0.582 1
O24 O 0.379 0.203 0.233 1
O25 O 0.448 0.622 0.824 1
K5 K 0.793 0.745 0.978 1
O26 O 0.275 0.375 0.306 1
C15 C 0.996 0.061 0.945 1
O27 O 0.738 0.225 0.593 1
C16 C 0.442 0.486 0.905 1
O28 O 0.775 0.625 0.194 1
O29 O 0.031 0.781 0.508 1
O30 O 0.378 0.460 0.969 1
O31 O 0.969 0.219 0.492 1
O32 O 0.675 0.525 0.412 1
O33 O 0.089 0.595 0.166 1
K6 K 0.040 0.961 0.311 1
Sn3 Sn 0.940 0.619 0.220 1
O34 O 0.494 0.708 0.400 1
O35 O 0.552 0.378 0.176 1
C17 C 0.278 0.263 0.795 1
K7 K 0.253 0.744 0.725 1
O36 O 0.355 0.982 0.055 1
O37 O 0.913 0.451 0.157 1
O38 O 0.411 0.595 0.666 1
K8 K 0.753 0.256 0.775 1
Sn4 Sn 0.060 0.381 0.780 1
C18 C 0.405 0.498 0.624 1
O39 O 0.413 0.549 0.343 1
C19 C 0.493 0.596 0.374 1
C20 C 0.778 0.737 0.705 1
O40 O 0.622 0.540 0.031 1
O41 O 0.764 0.932 0.773 1
O42 O 0.645 0.018 0.945 1
K9 K 0.540 0.039 0.189 1
O43 O 0.145 0.982 0.555 1
C21 C 0.973 0.352 0.418 1
O44 O 0.264 0.068 0.727 1
K10 K 0.247 0.744 0.225 1
O45 O 0.929 0.047 0.893 1
O46 O 0.087 0.549 0.843 1
O47 O 0.591 0.394 0.846 1
O48 O 0.589 0.405 0.334 1
C22 C 0.993 0.404 0.126 1
C23 C 0.004 0.939 0.055 1
C24 C 0.722 0.737 0.205 1
O49 O 0.855 0.018 0.445 1
C25 C 0.007 0.596 0.874 1
O50 O 0.122 0.460 0.469 1
C26 C 0.507 0.404 0.626 1
O51 O 0.621 0.797 0.767 1
K11 K 0.747 0.256 0.275 1
C27 C 0.496 0.939 0.555 1
O52 O 0.175 0.475 0.088 1
O53 O 0.130 0.229 0.319 1
K12 K 0.707 0.745 0.478 1
O54 O 0.091 0.606 0.654 1
O55 O 0.571 0.047 0.393 1
O56 O 0.531 0.219 0.992 1
O57 O 0.370 0.229 0.819 1
O58 O 0.725 0.625 0.694 1
C28 C 0.718 0.832 0.752 1
O59 O 0.052 0.622 0.324 1
O60 O 0.238 0.775 0.907 1
O61 O 0.933 0.825 0.081 1
O62 O 0.067 0.175 0.919 1
O63 O 0.429 0.953 0.607 1
O64 O 0.469 0.781 0.008 1



No. 6
# Rb2NbAgSe4 | the Materials Project database | GGA-PBE | optimized geometry
# Calculated formation energy in kcal/mol of atoms: -26.8
# V in Å³ per atom: 34.46
# Magnetic moment in μB per atom: 0.000
# Energy above the lowest structure with this stoichiometry in meV/atom: 6
# Symmetry: P1
data_Rb2NbAgSe4
_symmetry_space_group_name_H-M 'P 1'
_symmetry_Int_Tables_number 1
_cell_length_a 14.389
_cell_length_b 12.842
_cell_length_c 7.815
_cell_angle_alpha 84.58
_cell_angle_beta 62.68
_cell_angle_gamma 32.73
loop_
_symmetry_equiv_pos_as_xyz
'x,y,z'
loop_
_atom_site_label
_atom_site_type_symbol
_atom_site_fract_x
_atom_site_fract_y
_atom_site_fract_z
_atom_site_occupancy
Se1 Se 0.436 0.203 0.112 1
Rb1 Rb 0.439 0.448 0.806 1
Rb2 Rb 0.195 0.191 0.551 1
Rb3 Rb 0.560 0.555 0.192 1
Ag1 Ag 0.878 0.876 0.873 1
Nb1 Nb 0.617 0.632 0.634 1
Se2 Se 0.107 0.756 0.435 1
Nb2 Nb 0.368 0.380 0.383 1
Ag2 Ag 0.119 0.128 0.130 1
Se3 Se 0.801 0.559 0.247 1
Se4 Se 0.881 0.254 0.573 1
Se5 Se 0.196 0.436 0.758 1
Se6 Se 0.250 0.883 0.802 1
Se7 Se 0.760 0.105 0.198 1
Se8 Se 0.558 0.808 0.895 1
Rb4 Rb 0.797 0.813 0.452 1



V of number 1 (Dy3Y)? 31.97 Å³ per atom



Among the records above, which one has the lowest V? Ba3Ga2B10H4O23



calculated formation energy of number 2 (KGa3)? -4.1 kcal/mol of atoms